Below is LiCuO2 after structural relaxation, with properties calculated at the PBE level. Values from VASP.

Output
The crystal system is triclinic. The energy of formation is -1414 meV/atom.

```
&SYSTEM
  ibrav = 0, nat = 32, ntyp = 3
/
ATOMIC_SPECIES
Cu 63.55 Cu.upf
Li 6.94 Li.upf
O 16.00 O.upf
ATOMIC_POSITIONS angstrom
Cu 4.882 4.256 2.320
Cu 5.554 5.390 6.631
Cu 2.642 9.648 5.950
Cu 2.110 7.800 3.073
Cu 6.581 3.033 4.132
Cu 3.137 5.443 0.574
Cu 6.049 1.185 1.255
Cu 3.809 6.576 4.886
Li 6.673 6.155 3.837
Li 2.291 0.896 0.319
Li 7.570 7.379 6.021
Li 3.658 3.305 4.936
Li 1.121 3.454 1.185
Li 6.399 9.937 6.887
Li 5.033 7.527 2.270
Li 2.018 4.678 3.369
O 2.643 8.143 7.031
O 4.871 2.853 3.499
O 7.494 9.399 5.402
O 4.817 5.772 1.253
O 6.669 4.401 2.874
O 4.360 9.973 6.595
O 7.000 7.483 2.414
O 2.022 6.431 4.331
O 4.331 0.860 0.611
O 5.609 6.721 5.371
O 3.819 7.980 3.706
O 1.691 3.349 4.792
O 6.048 2.690 0.175
O 3.082 4.112 1.835
O 3.874 5.061 5.953
O 1.197 1.434 1.804
CELL_PARAMETERS angstrom
6.587 0.000 0.000
0.952 7.734 0.000
1.152 3.099 7.206
```

=====

Below is Na2NbO3F5 after structural relaxation, with properties calculated at the PBE level. Values from VASP.

Output
The crystal system is orthorhombic. The energy of formation is -2312 meV/atom.

```
&SYSTEM
  ibrav = 0, nat = 44, ntyp = 4
/
ATOMIC_SPECIES
O 16.00 O.upf
Na 22.99 Na.upf
F 19.00 F.upf
Nb 92.91 Nb.upf
ATOMIC_POSITIONS angstrom
O -9.310 3.323 -5.232
O 0.049 -1.701 -7.988
O -5.158 -0.844 -7.833
O -1.431 1.463 -6.444
O -9.117 4.303 -4.176
O -7.013 1.328 -5.297
O 0.241 -0.720 -6.934
O -2.538 -1.177 -9.504
O -4.103 2.465 -5.386
O -3.909 3.447 -4.333
O -4.966 0.136 -6.778
O -8.120 -1.312 -8.357
Na -7.398 2.387 -0.877
Na -8.393 5.409 -6.362
Na -7.942 -0.416 -3.888
Na -0.581 5.794 -5.293
Na -1.124 2.991 -8.304
Na -4.630 1.355 -8.998
Na -0.680 -2.830 -5.828
Na -4.443 1.224 -3.192
F -2.814 -1.897 -6.287
F -6.622 -1.955 -5.555
F -0.026 0.869 -9.387
F -8.614 1.493 -11.102
F -4.671 3.309 -7.795
F -6.555 0.572 -2.185
F 0.329 4.156 -6.778
F -9.047 1.711 -2.803
F -4.155 5.973 -4.938
F -4.393 -0.725 -4.382
F -8.082 4.153 -8.244
F -2.098 0.856 -3.261
F -9.399 -1.562 -5.397
F -2.451 4.534 -6.635
F -0.466 1.096 -1.076
F -6.972 1.741 -8.910
F -2.516 2.021 -9.989
F -4.923 -3.380 -7.245
F -6.255 4.494 -5.884
F -0.980 -1.564 -3.938
Nb -0.444 -0.017 -2.759
Nb -4.337 4.322 -6.082
Nb -4.734 -1.731 -6.096
Nb -8.627 2.607 -9.419
CELL_PARAMETERS angstrom
1.999 5.294 -5.289
-1.102 -5.602 -6.023
-9.968 2.895 -0.869
```

=====

Below is AlCo4 after structural relaxation, with properties calculated at the PBE level. Values from VASP.

Output
The crystal system is trigonal. The energy of formation is -29 meV/atom.

```
&SYSTEM
  ibrav = 0, nat = 5, ntyp = 2
/
ATOMIC_SPECIES
Al 26.98 Al.upf
Co 58.93 Co.upf
ATOMIC_POSITIONS angstrom
Al 0.000 0.000 0.000
Co 11.970 0.000 0.893
Co 17.870 0.000 1.334
Co 5.978 0.000 0.446
Co 23.863 0.000 1.781
CELL_PARAMETERS angstrom
10.002 -1.289 0.000
10.002 1.289 0.000
9.836 0.000 2.227
```

=====

Question: Number 1 is which compound?
Answer: LiCuO2

=====

Question: What is the energy of formation in the third record?
Answer: -29 meV/atom

=====

Question: Number 3 is which compound?
Answer: AlCo4